Cr2B, relaxed, DFT PBE; formation energy = -0.3718 eV per atom; calculated volume = 113.0 Å³/cell
1.0
0.0000 3.6710 7.2999
2.1091 0.0000 7.2999
2.1091 3.6710 0.0000
Cr B
8 4
Direct
0.0420 0.0420 0.2080
0.2080 0.2080 0.0420
0.2095 0.5405 0.2095
0.4595 0.7905 0.4595
0.5405 0.2095 0.5405
0.7905 0.4595 0.7905
0.7920 0.7920 0.9580
0.9580 0.9580 0.7920
0.2496 0.2496 0.5004
0.5004 0.5004 0.2496
0.4996 0.4996 0.7504
0.7504 0.7504 0.4996

Cr4B, relaxed, DFT PBE; formation energy = 0.0801 eV per atom; calculated volume = 108.3 Å³/cell; magnetic moment = 0.00 μB per formula unit
1.0
0.0000 3.6785 7.1286
2.0656 0.0000 7.1286
2.0656 3.6785 0.0000
Cr B
8 2
Direct
0.0805 0.4195 0.0805
0.0855 0.0855 0.9145
0.3432 0.6568 0.3432
0.4195 0.0805 0.4195
0.6568 0.3432 0.6568
0.6651 0.6651 0.8349
0.8349 0.8349 0.6651
0.9145 0.9145 0.0855
0.1252 0.1252 0.3748
0.3748 0.3748 0.1252

CrB4, relaxed, DFT PBE; polymorph energy (0 for the lowest one) = 0.000 eV/atom; formation energy = -0.3090 eV per atom; calculated volume = 73.9 Å³/cell
1.0
4.7267 0.0000 0.0000
0.0000 5.4799 0.0000
0.0000 0.0000 2.8537
Cr B
2 8
Direct
0.0000 0.0000 0.0000
0.5000 0.5000 0.5000
0.1650 0.3665 0.0000
0.2234 0.6783 0.0000
0.2766 0.1783 0.5000
0.3350 0.8665 0.5000
0.6650 0.1335 0.5000
0.7234 0.8217 0.5000
0.7766 0.3217 0.0000
0.8350 0.6335 0.0000

Cr3B4, relaxed, DFT PBE; formation energy = -0.4603 eV per atom; calculated volume = 56.0 Å³/cell
1.0
-1.4593 1.4714 6.5219
1.4593 -1.4714 6.5219
1.4593 1.4714 -6.5219
Cr B
3 4
Direct
0.0000 0.0000 0.0000
0.3140 0.8140 0.5000
0.6860 0.1860 0.5000
0.1398 0.6398 0.5000
0.4336 0.4336 0.0000
0.5664 0.5664 0.0000
0.8602 0.3602 0.5000